The following is a GGA-PBE calculation of crystalline Mg5Si2O8F2 at its relaxed geometry, from Materials Project.

Properties
total magnetic moment	0.000	μB per atom
crystal system	monoclinic
raw total energy	-6.625	eV per atom

abc: 4.777 7.902 10.374
angles: 70.87 90.00 90.00
Atoms (fractional coordinates):
Mg 0.993 0.802 0.328
Mg 0.991 0.579 0.114
Mg 0.009 0.421 0.886
Mg 0.507 0.802 0.828
Mg 0.000 0.000 0.000
Mg 0.491 0.421 0.386
Mg 0.007 0.198 0.672
Mg 0.493 0.198 0.172
Mg 0.500 0.000 0.500
Mg 0.509 0.579 0.614
Si 0.577 0.203 0.858
Si 0.923 0.203 0.358
Si 0.077 0.797 0.642
Si 0.423 0.797 0.142
O 0.224 0.793 0.498
O 0.276 0.793 0.998
O 0.235 0.207 0.855
O 0.224 0.974 0.667
O 0.276 0.974 0.167
O 0.765 0.793 0.145
O 0.771 0.375 0.241
O 0.735 0.793 0.645
O 0.724 0.026 0.833
O 0.729 0.375 0.741
O 0.776 0.026 0.333
O 0.265 0.207 0.355
O 0.229 0.625 0.759
O 0.776 0.207 0.502
O 0.271 0.625 0.259
O 0.724 0.207 0.002
F 0.773 0.604 0.941
F 0.727 0.604 0.441
F 0.227 0.396 0.059
F 0.273 0.396 0.559